Entry 1:
DFT (PBE) results for ThAs after structural relaxation.

Calculated values
space-group type	Pm-3m, No. 221
VASP energy	-14.300	eV/f.u.
total magnetic moment	0.011	μB/atom
energy of formation	-1.1133	eV per atom

a b c (Å): 3.6524 3.6524 3.6524
angles (deg): 90.00 90.00 90.00
Sites, in units of the cell vectors:
Th  0.0000  0.0000  0.0000
As  0.5000  0.5000  0.5000

=====

Entry 2:
DFT (PBE) results for Th3As4 after structural relaxation.

Calculated values
space-group type	I-43d, No. 220
VASP energy	-50.255	eV/f.u.
energy of formation	-1.3396	eV per atom

a b c (Å): 7.7084 7.7084 7.7084
angles (deg): 109.47 109.47 109.47
Sites, in units of the cell vectors:
Th  0.1250  0.7500  0.8750
Th  0.2500  0.6250  0.3750
Th  0.3750  0.2500  0.6250
Th  0.6250  0.3750  0.2500
Th  0.7500  0.8750  0.1250
Th  0.8750  0.1250  0.7500
As  0.0000  0.3420  0.5000
As  0.0000  0.8420  0.5000
As  0.1580  0.1580  0.1580
As  0.3420  0.5000  0.0000
As  0.5000  0.0000  0.3420
As  0.5000  0.0000  0.8420
As  0.6580  0.6580  0.6580
As  0.8420  0.5000  0.0000

=====

In the order shown, the computed mass density values come out to 10.462, 9.380 g/cm³.